Computed, not measured: crystalline LiSbSe2 at its relaxed geometry at the r2SCAN level of DFT.

```
data_LiSbSe2
_cell_length_a 6.997
_cell_length_b 6.997
_cell_length_c 6.997
_cell_angle_alpha 132.36
_cell_angle_beta 132.36
_cell_angle_gamma 69.65
_symmetry_space_group_name_H-M 'P 1'
_symmetry_Int_Tables_number 1
loop_
_symmetry_equiv_pos_as_xyz
'x,y,z'
loop_
_atom_site_label
_atom_site_type_symbol
_atom_site_fract_x
_atom_site_fract_y
_atom_site_fract_z
Li1 Li 0.250 0.750 0.500
Li2 Li 0.500 0.500 0.000
Sb1 Sb 0.000 0.000 0.000
Sb2 Sb 0.750 0.250 0.500
Se1 Se 0.501 0.001 0.500
Se2 Se 0.999 0.499 0.500
Se3 Se 0.751 0.751 0.000
Se4 Se 0.249 0.249 0.000
```

Results
energy relative to the elements = -2.9 eV per formula unit
total moment = 0.0000 μB per atom
calculated density = 5190 kg/m3

---

Computed, not measured: crystalline ThMg2 at its relaxed geometry at the r2SCAN level of DFT.

```
data_ThMg2
_cell_length_a 6.081
_cell_length_b 6.081
_cell_length_c 19.470
_cell_angle_alpha 90.00
_cell_angle_beta 90.00
_cell_angle_gamma 120.00
_symmetry_space_group_name_H-M 'P 1'
_symmetry_Int_Tables_number 1
loop_
_symmetry_equiv_pos_as_xyz
'x,y,z'
loop_
_atom_site_label
_atom_site_type_symbol
_atom_site_fract_x
_atom_site_fract_y
_atom_site_fract_z
Th1 Th 0.333 0.667 0.843
Th2 Th 0.000 0.000 0.091
Th3 Th 0.000 0.000 0.909
Th4 Th 0.667 0.333 0.157
Th5 Th 0.000 0.000 0.591
Th6 Th 0.667 0.333 0.343
Th7 Th 0.000 0.000 0.409
Th8 Th 0.333 0.667 0.657
Mg1 Mg 0.500 0.500 0.500
Mg2 Mg 0.839 0.161 0.750
Mg3 Mg 0.667 0.333 0.874
Mg4 Mg 0.161 0.322 0.250
Mg5 Mg 0.322 0.161 0.750
Mg6 Mg 0.839 0.678 0.750
Mg7 Mg 0.500 0.000 0.500
Mg8 Mg 0.678 0.839 0.250
Mg9 Mg 0.500 0.500 0.000
Mg10 Mg 0.161 0.839 0.250
Mg11 Mg 0.333 0.667 0.374
Mg12 Mg 0.000 0.500 0.000
Mg13 Mg 0.667 0.333 0.626
Mg14 Mg 0.000 0.500 0.500
Mg15 Mg 0.333 0.667 0.126
Mg16 Mg 0.500 0.000 0.000
```

Results
energy relative to the elements = 0.0 eV per formula unit
total moment = 0.0000 μB per atom
calculated density = 5980 kg/m3

---

Computed, not measured: crystalline Ca2VInO6 at its relaxed geometry at the r2SCAN level of DFT.

```
data_Ca2VInO6
_cell_length_a 5.571
_cell_length_b 5.571
_cell_length_c 5.571
_cell_angle_alpha 60.00
_cell_angle_beta 60.00
_cell_angle_gamma 60.00
_symmetry_space_group_name_H-M 'P 1'
_symmetry_Int_Tables_number 1
loop_
_symmetry_equiv_pos_as_xyz
'x,y,z'
loop_
_atom_site_label
_atom_site_type_symbol
_atom_site_fract_x
_atom_site_fract_y
_atom_site_fract_z
Ca1 Ca 0.250 0.250 0.250
Ca2 Ca 0.750 0.750 0.750
V1 V 0.500 0.500 0.500
In1 In 0.000 0.000 0.000
O1 O 0.736 0.264 0.264
O2 O 0.264 0.736 0.736
O3 O 0.264 0.736 0.264
O4 O 0.736 0.264 0.736
O5 O 0.264 0.264 0.736
O6 O 0.736 0.736 0.264
```

Results
energy relative to the elements = -25.8 eV per formula unit
total moment = 0.0000 μB per atom
calculated density = 4644 kg/m3